Entry 1:
DFT (PBE-GGA) results for a geometry-optimized Mg2SnO4 structure.

Summary:
Offset from the most stable computed form (kJ/mol of formula units): 19
E_form (eV/atom): -2.644
Energy with MP2020 corrections (eV per formula unit): -45.5

abc: 6.138 6.138 6.138
angles: 60.00 60.00 60.00
Positions (direct):
O  0.367  0.898  0.367
O  0.367  0.367  0.898
O  0.883  0.352  0.883
O  0.367  0.367  0.367
O  0.898  0.367  0.367
O  0.352  0.883  0.883
O  0.883  0.883  0.352
O  0.883  0.883  0.883
Mg  0.125  0.125  0.625
Mg  0.625  0.125  0.125
Mg  0.125  0.125  0.125
Mg  0.125  0.625  0.125
Sn  0.500  0.500  0.500
Sn  0.750  0.750  0.750

Entry 2:
DFT (PBE-GGA) results for a geometry-optimized Mg2SnO4 structure.

Summary:
Offset from the most stable computed form (kJ/mol of formula units): 48
E_form (eV/atom): -2.601
Energy with MP2020 corrections (eV per formula unit): -45.2

abc: 3.097 5.240 9.619
angles: 90.00 90.00 90.00
Positions (direct):
O  0.500  0.749  0.949
O  0.500  0.251  0.051
O  0.000  0.332  0.304
O  0.000  0.668  0.696
O  0.000  0.832  0.196
O  0.500  0.751  0.449
O  0.000  0.168  0.804
O  0.500  0.249  0.551
Sn  0.000  0.500  0.500
Sn  0.000  0.000  0.000
Mg  0.500  0.552  0.185
Mg  0.500  0.948  0.685
Mg  0.500  0.448  0.815
Mg  0.500  0.052  0.315